Computed, not measured: PrMg149 after structural relaxation at the GGA-PBE level of DFT.

Cell: 15.9773 15.9773 15.6105 Å, 90.00 90.00 120.00°
With the nearest neighbours (Å) after each atom.
Element x y z (fractional)
Pr1 0.0000 0.0000 0.0000  12 Mg 3.28
Mg1 0.0000 0.0000 0.3346  12 Mg 3.18-3.21
Mg2 0.0000 0.0000 0.6654  12 Mg 3.18-3.21
Mg3 0.9999 0.2007 0.3338  12 Mg 3.13-3.21
Mg4 0.9999 0.2007 0.6662  12 Mg 3.13-3.21
Mg5 0.9998 0.4003 0.3338  12 Mg 3.17-3.20
Mg6 0.9998 0.4003 0.6662  12 Mg 3.17-3.20
Mg7 0.0002 0.4006 0.0000  12 Mg 3.12-3.20
Mg8 0.9998 0.5995 0.3338  12 Mg 3.17-3.20
Mg9 0.9998 0.5995 0.6662  12 Mg 3.17-3.20
Mg10 0.0002 0.5996 0.0000  12 Mg 3.12-3.20
Mg11 0.9999 0.7991 0.3338  12 Mg 3.13-3.21
Mg12 0.9999 0.7991 0.6662  12 Mg 3.13-3.21
Mg13 0.0035 0.2070 0.0000  11 Mg 3.12-3.36, 1 Pr 3.28
Mg14 0.0035 0.7965 0.0000  11 Mg 3.12-3.36, 1 Pr 3.28
Mg15 0.0661 0.5330 0.5000  12 Mg 3.18-3.20
Mg16 0.0668 0.1336 0.5000  12 Mg 3.18-3.20
Mg17 0.0669 0.3336 0.5000  12 Mg 3.18-3.21
Mg18 0.0667 0.5334 0.1674  12 Mg 3.16-3.20
Mg19 0.0667 0.5334 0.8326  12 Mg 3.16-3.20
Mg20 0.0669 0.7332 0.5000  12 Mg 3.18-3.21
Mg21 0.0668 0.9332 0.5000  12 Mg 3.18-3.20
Mg22 0.0681 0.3362 0.1679  12 Mg 3.16-3.23
Mg23 0.0681 0.3362 0.8321  12 Mg 3.16-3.23
Mg24 0.0681 0.7320 0.1679  12 Mg 3.16-3.23
Mg25 0.0681 0.7320 0.8321  12 Mg 3.16-3.23
Mg26 0.0686 0.1372 0.1712  11 Mg 3.13-3.29, 1 Pr 3.28
Mg27 0.0686 0.1372 0.8288  11 Mg 3.13-3.29, 1 Pr 3.28
Mg28 0.0686 0.9314 0.1712  11 Mg 3.13-3.29, 1 Pr 3.28
Mg29 0.0686 0.9314 0.8288  11 Mg 3.13-3.29, 1 Pr 3.28
Mg30 0.2002 0.4005 0.3342  12 Mg 3.18-3.20
Mg31 0.2002 0.4005 0.6658  12 Mg 3.18-3.20
Mg32 0.1999 0.6000 0.3338  12 Mg 3.18-3.20
Mg33 0.1999 0.6000 0.6662  12 Mg 3.18-3.20
Mg34 0.2002 0.7998 0.3342  12 Mg 3.18-3.20
Mg35 0.2002 0.7998 0.6658  12 Mg 3.18-3.20
Mg36 0.2009 0.0001 0.3338  12 Mg 3.13-3.21
Mg37 0.2009 0.0001 0.6662  12 Mg 3.13-3.21
Mg38 0.2009 0.2007 0.3338  12 Mg 3.13-3.21
Mg39 0.2009 0.2007 0.6662  12 Mg 3.13-3.21
Mg40 0.2007 0.6003 0.0000  12 Mg 3.15-3.20
Mg41 0.2019 0.4037 0.0000  12 Mg 3.15-3.21
Mg42 0.2019 0.7981 0.0000  12 Mg 3.15-3.21
Mg43 0.2035 0.2070 0.0000  11 Mg 3.12-3.36, 1 Pr 3.28
Mg44 0.2035 0.9965 0.0000  11 Mg 3.12-3.36, 1 Pr 3.28
Mg45 0.2630 0.1315 0.1643  12 Mg 3.15-3.24
Mg46 0.2630 0.1315 0.8357  12 Mg 3.15-3.24
Mg47 0.2671 0.1336 0.5000  12 Mg 3.18-3.20
Mg48 0.2668 0.3336 0.5000  12 Mg 3.18-3.21
Mg49 0.2672 0.5344 0.1674  12 Mg 3.17-3.20
Mg50 0.2668 0.5335 0.5000  12 Mg 3.18-3.20
Mg51 0.2672 0.5344 0.8326  12 Mg 3.17-3.20
Mg52 0.2672 0.7328 0.1674  12 Mg 3.17-3.20
Mg53 0.2668 0.7332 0.5000  12 Mg 3.18-3.20
Mg54 0.2672 0.7328 0.8326  12 Mg 3.17-3.20
Mg55 0.2668 0.9332 0.5000  12 Mg 3.18-3.21
Mg56 0.2680 0.3362 0.1679  12 Mg 3.16-3.23
Mg57 0.2680 0.3362 0.8321  12 Mg 3.16-3.23
Mg58 0.2680 0.9319 0.1679  12 Mg 3.16-3.23
Mg59 0.2680 0.9319 0.8321  12 Mg 3.16-3.23
Mg60 0.4004 0.9998 0.0000  12 Mg 3.12-3.20
Mg61 0.3997 0.1998 0.3327  12 Mg 3.18-3.24
Mg62 0.3997 0.1998 0.6673  12 Mg 3.18-3.24
Mg63 0.4004 0.4006 0.0000  12 Mg 3.12-3.20
Mg64 0.3997 0.6003 0.0000  12 Mg 3.15-3.20
Mg65 0.4000 0.6000 0.3338  12 Mg 3.18-3.20
Mg66 0.4000 0.6000 0.6662  12 Mg 3.18-3.20
Mg67 0.3997 0.7993 0.0000  12 Mg 3.15-3.20
Mg68 0.4000 0.8001 0.3338  12 Mg 3.18-3.20
Mg69 0.4000 0.8001 0.6662  12 Mg 3.18-3.20
Mg70 0.4005 0.0002 0.3338  12 Mg 3.17-3.20
Mg71 0.4005 0.0002 0.6662  12 Mg 3.17-3.20
Mg72 0.4005 0.4003 0.3338  12 Mg 3.17-3.20
Mg73 0.4005 0.4003 0.6662  12 Mg 3.17-3.20
Mg74 0.4016 0.2008 0.0000  12 Mg 3.17-3.22
Mg75 0.4654 0.1329 0.1665  12 Mg 3.17-3.23
Mg76 0.4654 0.1329 0.8335  12 Mg 3.17-3.23
Mg77 0.4654 0.3325 0.1665  12 Mg 3.17-3.23
Mg78 0.4654 0.3325 0.8335  12 Mg 3.17-3.23
Mg79 0.4656 0.7328 0.1674  12 Mg 3.17-3.20
Mg80 0.4665 0.7332 0.5000  12 Mg 3.18-3.20
Mg81 0.4656 0.7328 0.8326  12 Mg 3.17-3.20
Mg82 0.4671 0.1343 0.5000  12 Mg 3.17-3.21
Mg83 0.4671 0.3328 0.5000  12 Mg 3.17-3.21
Mg84 0.4666 0.5334 0.1674  12 Mg 3.16-3.20
Mg85 0.4670 0.5330 0.5000  12 Mg 3.18-3.20
Mg86 0.4666 0.5334 0.8326  12 Mg 3.16-3.20
Mg87 0.4666 0.9333 0.1674  12 Mg 3.16-3.20
Mg88 0.4666 0.9333 0.8326  12 Mg 3.16-3.20
Mg89 0.4670 0.9339 0.5000  12 Mg 3.18-3.20
Mg90 0.5963 0.7981 0.0000  12 Mg 3.15-3.21
Mg91 0.5994 0.9998 0.0000  12 Mg 3.12-3.20
Mg92 0.5994 0.5996 0.0000  12 Mg 3.12-3.20
Mg93 0.5997 0.0002 0.3338  12 Mg 3.17-3.20
Mg94 0.5997 0.0002 0.6662  12 Mg 3.17-3.20
Mg95 0.6001 0.2002 0.0000  12 Mg 3.18-3.20
Mg96 0.6000 0.2000 0.3328  12 Mg 3.19-3.20
Mg97 0.6000 0.2000 0.6672  12 Mg 3.19-3.20
Mg98 0.6001 0.3999 0.0000  12 Mg 3.18-3.20
Mg99 0.6000 0.4000 0.3328  12 Mg 3.19-3.20
Mg100 0.6000 0.4000 0.6672  12 Mg 3.19-3.20
Mg101 0.5997 0.5995 0.3338  12 Mg 3.17-3.20
Mg102 0.5997 0.5995 0.6662  12 Mg 3.17-3.20
Mg103 0.5995 0.7998 0.3342  12 Mg 3.18-3.20
Mg104 0.5995 0.7998 0.6658  12 Mg 3.18-3.20
Mg105 0.6638 0.7320 0.1679  12 Mg 3.16-3.23
Mg106 0.6638 0.7320 0.8321  12 Mg 3.16-3.23
Mg107 0.6638 0.9319 0.1679  12 Mg 3.16-3.23
Mg108 0.6638 0.9319 0.8321  12 Mg 3.16-3.23
Mg109 0.6664 0.7332 0.5000  12 Mg 3.18-3.21
Mg110 0.6664 0.9332 0.5000  12 Mg 3.18-3.21
Mg111 0.6675 0.1329 0.1665  12 Mg 3.17-3.23
Mg112 0.6675 0.1329 0.8335  12 Mg 3.17-3.23
Mg113 0.6672 0.1343 0.5000  12 Mg 3.17-3.21
Mg114 0.6667 0.3333 0.1661  12 Mg 3.18-3.21
Mg115 0.6667 0.3333 0.5000  12 Mg 3.18-3.20
Mg116 0.6667 0.3333 0.8339  12 Mg 3.18-3.21
Mg117 0.6672 0.5329 0.5000  12 Mg 3.17-3.21
Mg118 0.6675 0.5346 0.1665  12 Mg 3.17-3.23
Mg119 0.6675 0.5346 0.8335  12 Mg 3.17-3.23
Mg120 0.7930 0.7965 0.0000  11 Mg 3.12-3.36, 1 Pr 3.28
Mg121 0.7930 0.9965 0.0000  11 Mg 3.12-3.36, 1 Pr 3.28
Mg122 0.7993 0.0001 0.3338  12 Mg 3.13-3.21
Mg123 0.7993 0.0001 0.6662  12 Mg 3.13-3.21
Mg124 0.7992 0.2008 0.0000  12 Mg 3.17-3.22
Mg125 0.7992 0.5984 0.0000  12 Mg 3.17-3.22
Mg126 0.7993 0.7991 0.3338  12 Mg 3.13-3.21
Mg127 0.7993 0.7991 0.6662  12 Mg 3.13-3.21
Mg128 0.8002 0.1998 0.3327  12 Mg 3.18-3.24
Mg129 0.8002 0.1998 0.6673  12 Mg 3.18-3.24
Mg130 0.7998 0.3999 0.0000  12 Mg 3.18-3.20
Mg131 0.8000 0.4000 0.3328  12 Mg 3.19-3.20
Mg132 0.8000 0.4000 0.6672  12 Mg 3.19-3.20
Mg133 0.8002 0.6003 0.3327  12 Mg 3.18-3.24
Mg134 0.8002 0.6003 0.6673  12 Mg 3.18-3.24
Mg135 0.8628 0.9314 0.1712  11 Mg 3.13-3.29, 1 Pr 3.28
Mg136 0.8628 0.9314 0.8288  11 Mg 3.13-3.29, 1 Pr 3.28
Mg137 0.8664 0.1336 0.5000  12 Mg 3.18-3.20
Mg138 0.8657 0.3328 0.5000  12 Mg 3.17-3.21
Mg139 0.8657 0.5329 0.5000  12 Mg 3.17-3.21
Mg140 0.8664 0.7329 0.5000  12 Mg 3.18-3.20
Mg141 0.8664 0.9332 0.5000  12 Mg 3.18-3.20
Mg142 0.8671 0.3325 0.1665  12 Mg 3.17-3.23
Mg143 0.8671 0.3325 0.8335  12 Mg 3.17-3.23
Mg144 0.8671 0.5346 0.1665  12 Mg 3.17-3.23
Mg145 0.8671 0.5346 0.8335  12 Mg 3.17-3.23
Mg146 0.8685 0.1315 0.1643  12 Mg 3.15-3.24
Mg147 0.8685 0.1315 0.8357  12 Mg 3.15-3.24
Mg148 0.8685 0.7370 0.1643  12 Mg 3.15-3.24
Mg149 0.8685 0.7370 0.8357  12 Mg 3.15-3.24

Computed properties:
For the formation energy, the calculation gives -24 meV/atom. For the calculated density, the calculation gives 1.8 g/cm³. As for the uncorrected energy: -246.8 eV for the cell shown.